(1)
# MgMn2Ag2O4

Crystalline MgMn2Ag2O4 at its relaxed geometry (PBE with a Hubbard U, the Materials Project).

Unit cell a=3.131 b=3.131 c=14.507 alpha=90.00 beta=90.00 gamma=120.00
Positions (direct):
Mg: 0.000 0.000 0.364
Mn: 0.000 0.000 0.552
Mn: 0.000 0.000 0.977
Ag: 0.333 0.667 0.201
Ag: 0.667 0.333 0.761
O: 0.333 0.667 0.043
O: 0.667 0.333 0.907
O: 0.667 0.333 0.615
O: 0.333 0.667 0.429

## Properties
The formation energy comes out at -1.47 eV per atom. As for the total energy: -52.6 eV for the cell shown. The value obtained for the excess energy over the best structure of this formula in the dataset is 28.0 meV/atom.

***

(2)
# MgMn4Ag4O16

Crystalline MgMn4Ag4O16 at its relaxed geometry (PBE with a Hubbard U, the Materials Project).

Unit cell a=5.531 b=7.956 c=8.394 alpha=86.68 beta=90.32 gamma=96.13
Positions (direct):
Mg: 0.717 0.454 0.214
Mn: 0.777 0.114 0.293
Mn: 0.260 0.635 0.187
Mn: 0.735 0.361 0.812
Mn: 0.232 0.879 0.694
Ag: 0.276 0.127 0.033
Ag: 0.704 0.700 0.508
Ag: 0.238 0.342 0.526
Ag: 0.726 0.860 0.966
O: 0.925 0.043 0.139
O: 0.530 0.215 0.222
O: 0.256 0.043 0.571
O: 0.250 0.495 0.054
O: 0.744 0.486 0.963
O: 0.501 0.821 0.740
O: 0.719 0.978 0.444
O: 0.072 0.720 0.617
O: 0.585 0.178 0.868
O: 0.094 0.927 0.859
O: 0.402 0.822 0.123
O: 0.010 0.327 0.762
O: 0.972 0.654 0.246
O: 0.593 0.442 0.656
O: 0.935 0.302 0.348
O: 0.445 0.556 0.337

## Properties
The formation energy comes out at -1.06 eV per atom. As for the total energy: -137.6 eV for the cell shown. The value obtained for the excess energy over the best structure of this formula in the dataset is 0.0 meV/atom.

***

(3)
# MgMn2Ag2O6

Crystalline MgMn2Ag2O6 at its relaxed geometry (PBE with a Hubbard U, the Materials Project).

Unit cell a=5.302 b=6.053 c=5.303 alpha=115.99 beta=59.99 gamma=116.00
Positions (direct):
Mg: 0.500 0.500 0.500
Mn: 0.326 0.978 0.326
Mn: 0.674 0.021 0.674
Ag: 0.125 0.374 0.125
Ag: 0.875 0.626 0.875
O: 0.089 0.219 0.465
O: 0.535 0.781 0.336
O: 0.336 0.781 0.911
O: 0.664 0.219 0.089
O: 0.465 0.219 0.664
O: 0.911 0.782 0.535

## Properties
The formation energy comes out at -1.56 eV per atom. As for the total energy: -64.9 eV for the cell shown. The value obtained for the excess energy over the best structure of this formula in the dataset is 59.4 meV/atom.

***

(4)
# MgMn2Ag2O6

Crystalline MgMn2Ag2O6 at its relaxed geometry (PBE with a Hubbard U, the Materials Project).

Unit cell a=5.569 b=5.852 c=5.153 alpha=116.53 beta=67.16 gamma=95.59
Positions (direct):
Mg: 0.280 0.579 0.189
Mn: 0.350 0.100 0.370
Mn: 0.635 0.000 0.699
Ag: 0.008 0.054 0.028
Ag: 0.852 0.557 0.876
O: 0.129 0.357 0.415
O: 0.560 0.813 0.323
O: 0.352 0.855 0.960
O: 0.645 0.218 0.107
O: 0.404 0.283 0.753
O: 0.033 0.913 0.516

## Properties
The formation energy comes out at -1.51 eV per atom. As for the total energy: -64.4 eV for the cell shown. The value obtained for the excess energy over the best structure of this formula in the dataset is 105.3 meV/atom.

***

Result set for energy with MP2020 corrections: -6.517, -6.212, -6.582, -6.536 eV per atom, one per record in the order listed.